1.
A plane-wave DFT calculation with PBE was carried out for Co2Sn3Se3 after structural relaxation.

Lattice parameters (Å, degrees): 8.797 8.797 8.797 90.12 90.12 90.12
Fractional positions:
Co: 0.742 0.238 0.245
Co: 0.238 0.245 0.742
Co: 0.259 0.259 0.259
Co: 0.245 0.742 0.238
Co: 0.762 0.755 0.258
Co: 0.258 0.762 0.755
Co: 0.755 0.258 0.762
Co: 0.741 0.741 0.741
Se: 0.345 0.498 0.161
Se: 0.161 0.345 0.498
Se: 0.999 0.660 0.157
Se: 0.655 0.502 0.839
Se: 0.001 0.340 0.843
Se: 0.157 0.999 0.660
Se: 0.340 0.843 0.001
Se: 0.502 0.839 0.655
Se: 0.498 0.161 0.345
Se: 0.839 0.655 0.502
Se: 0.843 0.001 0.340
Se: 0.660 0.157 0.999
Sn: 0.326 0.156 0.999
Sn: 0.999 0.326 0.156
Sn: 0.172 0.658 0.500
Sn: 0.674 0.844 0.001
Sn: 0.658 0.500 0.172
Sn: 0.844 0.001 0.674
Sn: 0.500 0.828 0.342
Sn: 0.828 0.342 0.500
Sn: 0.342 0.500 0.828
Sn: 0.500 0.172 0.658
Sn: 0.001 0.674 0.844
Sn: 0.156 0.999 0.326

---

2.
A plane-wave DFT calculation with PBE was carried out for Ta11Co2Se8 after structural relaxation.

Lattice parameters (Å, degrees): 3.438 12.195 19.641 90.00 90.00 90.00
Fractional positions:
Se: 0.500 0.704 0.445
Se: 0.000 0.460 0.174
Se: 0.000 0.540 0.826
Se: 0.500 0.784 0.786
Se: 0.500 0.040 0.674
Se: 0.500 0.390 0.946
Se: 0.500 0.610 0.054
Se: 0.500 0.216 0.214
Se: 0.500 0.296 0.555
Se: 0.500 0.960 0.326
Se: 0.000 0.204 0.055
Se: 0.000 0.796 0.945
Se: 0.000 0.716 0.286
Se: 0.000 0.284 0.714
Se: 0.000 0.890 0.554
Se: 0.000 0.110 0.446
Ta: 0.000 0.439 0.616
Ta: 0.000 0.054 0.242
Ta: 0.500 0.180 0.947
Ta: 0.000 0.347 0.288
Ta: 0.000 0.680 0.553
Ta: 0.000 0.000 0.000
Ta: 0.500 0.820 0.053
Ta: 0.500 0.061 0.116
Ta: 0.500 0.174 0.353
Ta: 0.500 0.826 0.647
Ta: 0.000 0.326 0.853
Ta: 0.500 0.500 0.500
Ta: 0.500 0.554 0.258
Ta: 0.500 0.939 0.884
Ta: 0.000 0.674 0.147
Ta: 0.000 0.653 0.712
Ta: 0.000 0.946 0.758
Ta: 0.000 0.561 0.384
Ta: 0.500 0.847 0.212
Ta: 0.500 0.153 0.788
Ta: 0.500 0.446 0.742
Ta: 0.000 0.320 0.447
Co: 0.500 0.593 0.628
Co: 0.500 0.407 0.372
Co: 0.000 0.093 0.872
Co: 0.000 0.907 0.128

---

V values, unit Å³ per cell, following the record order: 680.8 823.4.
Formation energy from the elements values, unit eV per atom, following the record order: -0.548 -0.744.